Entry 1:
Compound: ScTiO3
Source: Materials Project
Functional: PBE
Structure: optimized geometry Values from VASP.

The structure in Quantum ESPRESSO input format:
```
&SYSTEM
  ibrav = 0, nat = 10, ntyp = 3
/
ATOMIC_SPECIES
Sc 44.96 Sc.upf
Ti 47.87 Ti.upf
O 16.00 O.upf
ATOMIC_POSITIONS crystal
Sc 0.144 0.144 0.144
Sc 0.856 0.856 0.856
Ti 0.349 0.349 0.349
Ti 0.651 0.651 0.651
O 0.056 0.739 0.449
O 0.261 0.551 0.944
O 0.449 0.056 0.739
O 0.551 0.944 0.261
O 0.739 0.449 0.056
O 0.944 0.261 0.551
CELL_PARAMETERS angstrom
2.623 1.515 4.760
-2.623 1.515 4.760
0.000 -3.029 4.760
```

Output
- Symmetry: No. 148
- Total moment: 1.00 μB per formula unit


Entry 2:
Compound: Sc2Ti2O7
Source: Materials Project
Functional: PBE
Structure: optimized geometry Values from VASP.

The structure in Quantum ESPRESSO input format:
```
&SYSTEM
  ibrav = 0, nat = 11, ntyp = 3
/
ATOMIC_SPECIES
Sc 44.96 Sc.upf
Ti 47.87 Ti.upf
O 16.00 O.upf
ATOMIC_POSITIONS crystal
Sc 0.188 0.812 0.000
Sc 0.812 0.188 0.000
Ti 0.245 0.245 0.606
Ti 0.755 0.755 0.394
O 0.068 0.068 0.268
O 0.099 0.444 0.801
O 0.444 0.099 0.801
O 0.500 0.500 0.500
O 0.556 0.901 0.199
O 0.901 0.556 0.199
O 0.932 0.932 0.732
CELL_PARAMETERS angstrom
3.206 -4.494 0.000
3.206 4.494 0.000
-0.927 0.000 5.138
```

Output
- Symmetry: No. 12
- Polymorph energy (0 for the lowest one): 0.0 kJ/mol of atoms


Entry 3:
Compound: Sc2Ti2O7
Source: Materials Project
Functional: PBE
Structure: optimized geometry Values from VASP.

The structure in Quantum ESPRESSO input format:
```
&SYSTEM
  ibrav = 0, nat = 88, ntyp = 3
/
ATOMIC_SPECIES
Sc 44.96 Sc.upf
Ti 47.87 Ti.upf
O 16.00 O.upf
ATOMIC_POSITIONS crystal
Sc 0.138 0.000 0.279
Sc 0.178 0.935 0.799
Sc 0.217 0.415 0.931
Sc 0.230 0.458 0.466
Sc 0.272 0.962 0.033
Sc 0.282 0.914 0.569
Sc 0.332 0.431 0.697
Sc 0.357 0.511 0.222
Sc 0.643 0.011 0.778
Sc 0.668 0.931 0.303
Sc 0.718 0.414 0.431
Sc 0.728 0.462 0.967
Sc 0.770 0.958 0.534
Sc 0.783 0.915 0.069
Sc 0.822 0.435 0.201
Sc 0.862 0.500 0.721
Ti 0.029 0.441 0.562
Ti 0.035 0.440 0.060
Ti 0.070 0.949 0.663
Ti 0.086 0.944 0.162
Ti 0.416 0.439 0.339
Ti 0.430 0.457 0.836
Ti 0.465 0.938 0.440
Ti 0.470 0.946 0.937
Ti 0.530 0.446 0.063
Ti 0.535 0.438 0.560
Ti 0.570 0.957 0.164
Ti 0.584 0.939 0.661
Ti 0.914 0.444 0.838
Ti 0.930 0.449 0.337
Ti 0.965 0.940 0.940
Ti 0.971 0.941 0.438
O 0.006 0.592 0.413
O 0.018 0.139 0.886
O 0.050 0.275 0.689
O 0.054 0.717 0.216
O 0.066 0.230 0.988
O 0.076 0.725 0.513
O 0.100 0.101 0.089
O 0.141 0.631 0.618
O 0.145 0.221 0.211
O 0.154 0.752 0.725
O 0.168 0.306 0.335
O 0.174 0.583 0.847
O 0.218 0.064 0.440
O 0.228 0.800 0.957
O 0.271 0.299 0.543
O 0.282 0.566 0.060
O 0.324 0.078 0.649
O 0.333 0.810 0.165
O 0.351 0.257 0.773
O 0.358 0.138 0.881
O 0.361 0.730 0.293
O 0.403 0.596 0.412
O 0.424 0.226 0.986
O 0.435 0.729 0.512
O 0.456 0.783 0.810
O 0.457 0.228 0.284
O 0.481 0.629 0.615
O 0.495 0.096 0.088
O 0.505 0.596 0.912
O 0.519 0.129 0.385
O 0.543 0.728 0.716
O 0.544 0.283 0.190
O 0.565 0.229 0.488
O 0.576 0.726 0.014
O 0.597 0.096 0.588
O 0.639 0.230 0.707
O 0.642 0.638 0.119
O 0.649 0.757 0.227
O 0.667 0.310 0.835
O 0.676 0.578 0.351
O 0.718 0.066 0.940
O 0.729 0.799 0.457
O 0.772 0.300 0.043
O 0.782 0.564 0.560
O 0.826 0.083 0.153
O 0.832 0.806 0.665
O 0.846 0.252 0.275
O 0.855 0.721 0.789
O 0.859 0.131 0.382
O 0.900 0.601 0.911
O 0.924 0.225 0.487
O 0.934 0.730 0.012
O 0.946 0.217 0.784
O 0.950 0.775 0.311
O 0.982 0.639 0.114
O 0.994 0.092 0.587
CELL_PARAMETERS angstrom
7.364 0.000 0.000
0.000 5.098 0.000
-3.633 0.000 25.676
```

Output
- Symmetry: No. 4
- Total moment: 0.00 μB per formula unit
- Polymorph energy (0 for the lowest one): 5.5 kJ/mol of atoms


Entry 4:
Compound: ScTiO3
Source: Materials Project
Functional: PBE
Structure: optimized geometry Values from VASP.

The structure in Quantum ESPRESSO input format:
```
&SYSTEM
  ibrav = 0, nat = 20, ntyp = 3
/
ATOMIC_SPECIES
Sc 44.96 Sc.upf
Ti 47.87 Ti.upf
O 16.00 O.upf
ATOMIC_POSITIONS crystal
Sc 0.069 0.020 0.000
Sc 0.431 0.520 0.500
Sc 0.569 0.480 0.000
Sc 0.931 0.980 0.500
Ti 0.004 0.499 0.743
Ti 0.496 0.999 0.243
Ti 0.504 0.001 0.743
Ti 0.996 0.501 0.243
O 0.070 0.356 0.491
O 0.177 0.828 0.305
O 0.198 0.816 0.669
O 0.302 0.316 0.169
O 0.323 0.328 0.805
O 0.430 0.856 0.991
O 0.570 0.144 0.491
O 0.677 0.672 0.305
O 0.698 0.684 0.669
O 0.802 0.184 0.169
O 0.823 0.172 0.805
O 0.930 0.644 0.991
CELL_PARAMETERS angstrom
5.520 0.000 0.000
0.000 5.156 0.000
0.000 0.000 7.539
```

Output
- Symmetry: No. 33
- Total moment: 1.00 μB per formula unit


Entry 5:
Compound: ScTlO2
Source: Materials Project
Functional: PBE
Structure: optimized geometry Values from VASP.

The structure in Quantum ESPRESSO input format:
```
&SYSTEM
  ibrav = 0, nat = 4, ntyp = 3
/
ATOMIC_SPECIES
Sc 44.96 Sc.upf
Tl 204.38 Tl.upf
O 16.00 O.upf
ATOMIC_POSITIONS crystal
Sc 0.000 0.000 0.000
Tl 0.500 0.500 0.500
O 0.279 0.279 0.279
O 0.721 0.721 0.721
CELL_PARAMETERS angstrom
1.634 0.944 6.480
-1.634 0.944 6.480
0.000 -1.887 6.480
```

Output
- Symmetry: No. 166
- Total moment: 0.00 μB per formula unit
- Polymorph energy (0 for the lowest one): 0.4 kJ/mol of atoms


Entry 6:
Compound: ScTlO2
Source: Materials Project
Functional: PBE
Structure: optimized geometry Values from VASP.

The structure in Quantum ESPRESSO input format:
```
&SYSTEM
  ibrav = 0, nat = 8, ntyp = 3
/
ATOMIC_SPECIES
Sc 44.96 Sc.upf
Tl 204.38 Tl.upf
O 16.00 O.upf
ATOMIC_POSITIONS crystal
Sc 0.000 0.000 0.000
Sc 0.000 0.000 0.500
Tl 0.333 0.667 0.250
Tl 0.667 0.333 0.750
O 0.333 0.667 0.582
O 0.333 0.667 0.918
O 0.667 0.333 0.082
O 0.667 0.333 0.418
CELL_PARAMETERS angstrom
3.265 0.000 0.000
-1.632 2.827 0.000
0.000 0.000 12.968
```

Output
- Symmetry: No. 194
- Total moment: 0.00 μB per formula unit
- Polymorph energy (0 for the lowest one): 0.0 kJ/mol of atoms


Entry 7:
Compound: TmScO3
Source: Materials Project
Functional: PBE
Structure: optimized geometry Values from VASP.

The structure in Quantum ESPRESSO input format:
```
&SYSTEM
  ibrav = 0, nat = 20, ntyp = 3
/
ATOMIC_SPECIES
Tm 168.93 Tm.upf
Sc 44.96 Sc.upf
O 16.00 O.upf
ATOMIC_POSITIONS crystal
Tm 0.063 0.250 0.018
Tm 0.437 0.750 0.518
Tm 0.563 0.250 0.482
Tm 0.937 0.750 0.982
Sc 0.000 0.000 0.500
Sc 0.000 0.500 0.500
Sc 0.500 0.000 0.000
Sc 0.500 0.500 0.000
O 0.063 0.750 0.364
O 0.189 0.570 0.814
O 0.189 0.930 0.814
O 0.311 0.070 0.314
O 0.311 0.430 0.314
O 0.437 0.250 0.864
O 0.563 0.750 0.136
O 0.689 0.570 0.686
O 0.689 0.930 0.686
O 0.811 0.070 0.186
O 0.811 0.430 0.186
O 0.937 0.250 0.636
CELL_PARAMETERS angstrom
5.709 0.000 0.000
0.000 7.944 0.000
0.000 0.000 5.410
```

Output
- Symmetry: No. 62
- Total moment: 0.00 μB per formula unit


Entry 8:
Compound: TmScO3
Source: Materials Project
Functional: PBE
Structure: optimized geometry Values from VASP.

The structure in Quantum ESPRESSO input format:
```
&SYSTEM
  ibrav = 0, nat = 5, ntyp = 3
/
ATOMIC_SPECIES
Tm 168.93 Tm.upf
Sc 44.96 Sc.upf
O 16.00 O.upf
ATOMIC_POSITIONS crystal
Tm 0.000 0.000 0.000
Sc 0.500 0.500 0.500
O 0.000 0.500 0.500
O 0.500 0.000 0.500
O 0.500 0.500 0.000
CELL_PARAMETERS angstrom
4.002 0.000 0.000
0.000 4.002 0.000
0.000 0.000 4.002
```

Output
- Symmetry: No. 221
- Total moment: 0.00 μB per formula unit


Entry 9:
Compound: YScO3
Source: Materials Project
Functional: PBE
Structure: optimized geometry Values from VASP.

The structure in Quantum ESPRESSO input format:
```
&SYSTEM
  ibrav = 0, nat = 20, ntyp = 3
/
ATOMIC_SPECIES
Y 88.91 Y.upf
Sc 44.96 Sc.upf
O 16.00 O.upf
ATOMIC_POSITIONS crystal
Y 0.063 0.250 0.020
Y 0.437 0.750 0.520
Y 0.563 0.250 0.480
Y 0.937 0.750 0.980
Sc 0.000 0.000 0.500
Sc 0.000 0.500 0.500
Sc 0.500 0.000 0.000
Sc 0.500 0.500 0.000
O 0.056 0.750 0.371
O 0.192 0.566 0.810
O 0.192 0.934 0.810
O 0.308 0.066 0.310
O 0.308 0.434 0.310
O 0.444 0.250 0.871
O 0.556 0.750 0.129
O 0.692 0.566 0.690
O 0.692 0.934 0.690
O 0.808 0.066 0.190
O 0.808 0.434 0.190
O 0.944 0.250 0.629
CELL_PARAMETERS angstrom
5.762 0.000 0.000
0.000 7.996 0.000
0.000 0.000 5.468
```

Output
- Symmetry: No. 62
- Total moment: 0.00 μB per formula unit


Entry 10:
Compound: YScO3
Source: Materials Project
Functional: PBE
Structure: optimized geometry Values from VASP.

The structure in Quantum ESPRESSO input format:
```
&SYSTEM
  ibrav = 0, nat = 30, ntyp = 3
/
ATOMIC_SPECIES
Y 88.91 Y.upf
Sc 44.96 Sc.upf
O 16.00 O.upf
ATOMIC_POSITIONS crystal
Y 0.000 0.000 0.000
Y 0.000 0.000 0.500
Y 0.333 0.667 0.460
Y 0.333 0.667 0.960
Y 0.667 0.333 0.460
Y 0.667 0.333 0.960
Sc 0.000 0.334 0.227
Sc 0.000 0.666 0.727
Sc 0.334 0.000 0.227
Sc 0.334 0.334 0.727
Sc 0.666 0.000 0.727
Sc 0.666 0.666 0.227
O 0.000 0.000 0.201
O 0.000 0.000 0.701
O 0.000 0.308 0.394
O 0.000 0.359 0.061
O 0.000 0.641 0.561
O 0.000 0.692 0.894
O 0.308 0.000 0.394
O 0.308 0.308 0.894
O 0.333 0.667 0.247
O 0.333 0.667 0.747
O 0.359 0.000 0.061
O 0.359 0.359 0.561
O 0.641 0.000 0.561
O 0.641 0.641 0.061
O 0.667 0.333 0.247
O 0.667 0.333 0.747
O 0.692 0.000 0.894
O 0.692 0.692 0.394
CELL_PARAMETERS angstrom
6.217 0.000 0.000
-3.109 5.384 0.000
0.000 0.000 12.300
```

Output
- Symmetry: No. 185


Entry 11:
Compound: YScO3
Source: Materials Project
Functional: PBE
Structure: optimized geometry Values from VASP.

The structure in Quantum ESPRESSO input format:
```
&SYSTEM
  ibrav = 0, nat = 10, ntyp = 3
/
ATOMIC_SPECIES
Y 88.91 Y.upf
Sc 44.96 Sc.upf
O 16.00 O.upf
ATOMIC_POSITIONS crystal
Y 0.000 0.000 0.000
Y 0.000 0.000 0.500
Sc 0.333 0.667 0.250
Sc 0.667 0.333 0.750
O 0.000 0.000 0.250
O 0.000 0.000 0.750
O 0.333 0.667 0.083
O 0.333 0.667 0.417
O 0.667 0.333 0.583
O 0.667 0.333 0.917
CELL_PARAMETERS angstrom
3.591 0.000 0.000
-1.795 3.110 0.000
0.000 0.000 12.444
```

Output
- Symmetry: No. 194
- Total moment: 0.00 μB per formula unit


Entry 12:
Compound: YScO2
Source: Materials Project
Functional: PBE
Structure: optimized geometry Values from VASP.

The structure in Quantum ESPRESSO input format:
```
&SYSTEM
  ibrav = 0, nat = 4, ntyp = 3
/
ATOMIC_SPECIES
Y 88.91 Y.upf
Sc 44.96 Sc.upf
O 16.00 O.upf
ATOMIC_POSITIONS crystal
Y 0.000 0.000 0.000
Sc 0.500 0.500 0.500
O 0.390 0.390 0.390
O 0.610 0.610 0.610
CELL_PARAMETERS angstrom
1.793 1.035 6.132
-1.793 1.035 6.132
0.000 -2.071 6.132
```

Output
- Symmetry: No. 166
- Total moment: 0.01 μB per formula unit


Computed electronic total energy (eV for the cell shown) in order:
-89.69, -99.29, -789.29, -178.83, -27.95, -55.93, -173.99, -40.60, -181.15, -271.99, -90.55, -34.37
Computed energy of formation (eV/f.u.) in order:
-17.834, -41.003, -40.379, -17.697, -10.730, -10.746, -19.907, -17.010, -19.706, -19.749, -19.695, -13.047